VASP calculation (meta-GGA r2SCAN) on crystalline Tl2TeCl6 at its relaxed geometry.

Cell lengths 10.1335, 10.1335, 10.1335 Å; angles 90.00, 90.00, 90.00 degrees
Last column: nearest neighbours and their distance in Å.
Space group Fm-3m (No. 225)
Symmetry-distinct sites (fractional):
Tl 0.2500 0.2500 0.2500 (multiplicity 8)  12 Cl 3.58
Te 0.0000 0.0000 0.0000 (multiplicity 4)  6 Cl 2.54
Cl 0.0000 0.0000 0.2509 (multiplicity 24)  1 Te 2.54

Properties
energy relative to the elements = -0.8928 eV per atom
mass density = 4.78 g/cm3